9
Lattice="7.8505 0.0000 0.0000 -3.9252 6.7987 0.0000 0.0000 0.0000 3.8394" Properties=species:S:1:pos:R:3 comment="ErPdPb, relaxed, DFT GGA-PBE" formation_enthalpy_0k_ev_per_atom=-0.714 pbc="T T T"
Er -2.3564 4.0813 0.0000
Er 1.5689 2.7174 0.0000
Er 4.7127 0.0000 0.0000
Pd 0.0000 0.0000 0.0000
Pd 0.0000 4.5325 1.9197
Pd 3.9252 2.2662 1.9197
Pb -1.0474 1.8141 1.9197
Pb 2.0948 0.0000 1.9197
Pb 2.8779 4.9846 1.9197